Record 1
LiPtF6: optimized geometry, PBE.

Cell: 5.0409 5.0409 5.4592 Å, 62.50 62.50 60.00°
Closest atoms and distances in Å follow each position.
Fractional coordinates of all 8 atoms:
F  0.3861  0.7622  0.7581  1 Pt 1.93, 1 Li 2.07
F  0.2378  0.9064  0.2419  1 Pt 1.93, 1 Li 2.07
F  0.6139  0.2378  0.2419  1 Pt 1.93, 1 Li 2.07
F  0.9064  0.6139  0.2419  1 Pt 1.93, 1 Li 2.07
F  0.0936  0.3861  0.7581  1 Pt 1.93, 1 Li 2.07
F  0.7622  0.0936  0.7581  1 Pt 1.93, 1 Li 2.07
Li  0.5000  0.5000  0.5000  6 F 2.07
Pt  0.0000  0.0000  0.0000  6 F 1.93

Output
VASP energy	-0.151	Ha/atom
symmetry	R-3
crystal system	trigonal

Record 2
Na15Mg7Nb5P18O72: optimized geometry, PBE.

Cell: 8.8978 8.8666 22.3917 Å, 89.96 90.17 119.85°
Closest atoms and distances in Å follow each position.
Fractional coordinates of all 117 atoms:
P  0.9989  0.7080  0.7497  4 O 1.50-1.61
P  0.3288  0.3734  0.4194  4 O 1.50-1.60
P  0.9953  0.2871  0.2525  4 O 1.49-1.62
P  0.3741  0.0397  0.5841  4 O 1.52-1.61
P  0.6306  0.6717  0.9207  4 O 1.50-1.63
P  0.2946  0.0072  0.2531  4 O 1.50-1.62
P  0.9610  0.6208  0.0862  4 O 1.50-1.62
P  0.0444  0.6692  0.4177  4 O 1.51-1.59
P  0.6651  0.6265  0.5852  4 O 1.52-1.61
P  0.7136  0.7100  0.2509  4 O 1.50-1.60
P  0.6287  0.9549  0.4192  4 O 1.50-1.61
P  0.3797  0.3365  0.0848  4 O 1.50-1.59
P  0.9614  0.3349  0.5852  4 O 1.52-1.61
P  0.7085  0.0004  0.7497  4 O 1.50-1.61
P  0.0421  0.3703  0.9202  4 O 1.49-1.64
P  0.6619  0.0416  0.0855  4 O 1.49-1.62
P  0.3280  0.9580  0.9201  4 O 1.48-1.63
P  0.2921  0.2910  0.7497  4 O 1.50-1.61
O  0.1837  0.2258  0.6916  1 P 1.55
O  0.1759  0.9843  0.9094  1 P 1.50
O  0.5190  0.8318  0.7582  1 P 1.61
O  0.5017  0.8650  0.3637  1 P 1.60
O  0.4738  0.1576  0.2441  1 P 1.50
O  0.4871  0.1234  0.6388  1 P 1.52
O  0.8764  0.5212  0.1428  1 P 1.51
O  0.6941  0.1598  0.0284  1 P 1.59
O  0.3116  0.8482  0.9725  1 P 1.48
O  0.1679  0.9691  0.1975  1 P 1.60
O  0.3549  0.8582  0.5768  1 P 1.54
O  0.6784  0.1574  0.7440  1 P 1.55
O  0.3608  0.8708  0.8610  1 P 1.63
O  0.6892  0.5290  0.2429  1 P 1.52
O  0.5151  0.8563  0.0771  1 P 1.52
O  0.8356  0.0268  0.0902  1 P 1.62
O  0.1959  0.0286  0.5853  1 P 1.54
O  0.9674  0.8063  0.0904  1 P 1.62
O  0.8323  0.8040  0.5856  1 P 1.54
O  0.5437  0.8549  0.4754  1 P 1.51
O  0.1799  0.1894  0.4107  1 P 1.52
O  0.8075  0.9823  0.4104  1 P 1.50
O  0.0414  0.8163  0.6917  1 P 1.55
O  0.4696  0.1596  0.5270  1 P 1.61
O  0.8482  0.3253  0.2439  1 P 1.52
O  0.5038  0.6449  0.5769  1 P 1.53
O  0.3566  0.4935  0.0759  1 P 1.52
O  0.8341  0.5328  0.0308  1 P 1.59
O  0.1677  0.6867  0.7581  1 P 1.61
O  0.3004  0.8278  0.2571  1 P 1.62
O  0.8235  0.0297  0.8028  1 P 1.50
O  0.2100  0.0221  0.3095  1 P 1.51
O  0.8430  0.5214  0.7440  1 P 1.55
O  0.2064  0.1761  0.8028  1 P 1.50
O  0.5423  0.6889  0.9754  1 P 1.50
O  0.1294  0.4913  0.8611  1 P 1.64
O  0.1686  0.4756  0.2571  1 P 1.62
O  0.3095  0.4554  0.4753  1 P 1.50
O  0.4660  0.3033  0.0280  1 P 1.59
O  0.8261  0.7953  0.3043  1 P 1.50
O  0.8072  0.8245  0.9098  1 P 1.50
O  0.1308  0.6380  0.3610  1 P 1.58
O  0.6422  0.1278  0.1398  1 P 1.49
O  0.5073  0.6391  0.8628  1 P 1.63
O  0.9710  0.1666  0.5857  1 P 1.54
O  0.4784  0.3211  0.7441  1 P 1.55
O  0.6894  0.5267  0.5290  1 P 1.61
O  0.1406  0.4963  0.5768  1 P 1.54
O  0.3136  0.4815  0.7582  1 P 1.61
O  0.0236  0.8280  0.4098  1 P 1.52
O  0.9702  0.7940  0.8029  1 P 1.50
O  0.4915  0.3645  0.1386  1 P 1.50
O  0.8594  0.3624  0.9238  1 P 1.59
O  0.7742  0.9578  0.6918  1 P 1.55
O  0.8786  0.3646  0.6398  1 P 1.52
O  0.3595  0.4949  0.3634  1 P 1.59
O  0.1950  0.1653  0.0908  1 P 1.59
O  0.6390  0.4969  0.9234  1 P 1.59
O  0.9760  0.1812  0.3065  1 P 1.49
O  0.1515  0.6940  0.4733  1 P 1.51
O  0.5027  0.1412  0.9231  1 P 1.59
O  0.6362  0.5143  0.6400  1 P 1.52
O  0.8600  0.4989  0.4230  1 P 1.59
O  0.6332  0.1384  0.4224  1 P 1.61
O  0.5277  0.6954  0.2578  1 P 1.60
O  0.7945  0.8252  0.1930  1 P 1.59
O  0.5010  0.3586  0.4228  1 P 1.60
O  0.0275  0.2007  0.1952  1 P 1.59
O  0.8376  0.3107  0.5289  1 P 1.61
O  0.1533  0.4626  0.9726  1 P 1.49
O  0.1403  0.6498  0.0775  1 P 1.50
O  0.0159  0.1919  0.9092  1 P 1.50
Na  0.9897  0.6316  0.2462  5 O 2.36-2.59
Na  0.0374  0.7041  0.5854  5 O 2.39-2.57
Na  0.9910  0.9994  0.4960  6 O 2.47-2.63
Na  0.3230  0.0260  0.4129  5 O 2.35-2.57
Na  0.6649  0.3311  0.3254  6 O 2.44-2.72
Na  0.6658  0.9635  0.5850  6 O 2.40-2.66
Na  0.3336  0.6670  0.6639  6 O 2.53-2.63
Na  0.3313  0.6674  0.1581  3 O 2.43-2.48
Na  0.9902  0.3539  0.7487  5 O 2.42-2.65
Na  0.0083  0.0070  0.9907  3 O 2.43-2.49
Na  0.6454  0.6359  0.7486  5 O 2.42-2.65
Na  0.6571  0.6916  0.0801  5 O 2.36-2.59
Na  0.2969  0.3333  0.5849  6 O 2.39-2.66
Na  0.3643  0.0095  0.7486  5 O 2.42-2.68
Na  0.6669  0.3334  0.8327  6 O 2.56-2.59
Nb  0.3325  0.6664  0.8190  6 O 1.94-2.08
Nb  0.0048  0.0069  0.1449  6 O 1.98-2.06
Nb  0.6720  0.3380  0.4784  6 O 1.96-2.05
Nb  0.6660  0.3305  0.9790  6 O 1.99-2.03
Nb  0.3389  0.6653  0.3117  6 O 1.98-2.07
Mg  0.6615  0.3276  0.1851  6 O 1.97-2.13
Mg  0.3341  0.6665  0.5164  6 O 2.00-2.12
Mg  0.3273  0.6659  0.0188  6 O 1.98-2.13
Mg  0.0000  0.0003  0.6508  6 O 2.06-2.20
Mg  0.6665  0.3328  0.6844  6 O 2.02-2.11
Mg  0.9998  0.9999  0.8526  6 O 2.04-2.09
Mg  0.9945  0.0002  0.3521  6 O 1.98-2.12

Output
VASP energy	-0.256	Ha/atom
total moment	0.00	μB/atom
symmetry	P1
crystal system	triclinic

Record 3
K3NdSi6O15: optimized geometry, PBE.

Cell: 7.3899 14.8115 16.0381 Å, 90.00 90.00 90.00°
Closest atoms and distances in Å follow each position.
Fractional coordinates of all 100 atoms:
K  0.0000  0.3782  0.2895  5 O 2.76-3.02
K  0.5000  0.5360  0.3829  2 O 2.92
K  0.0000  0.6218  0.7105  5 O 2.76-3.02
K  0.5000  0.0360  0.1171  2 O 2.92
K  0.5000  0.0938  0.5619  5 O 2.81-3.06
K  0.5000  0.9640  0.8829  2 O 2.92
K  0.5000  0.9062  0.4381  5 O 2.81-3.06
K  0.5000  0.5938  0.9381  5 O 2.81-3.06
K  0.0000  0.1218  0.7895  5 O 2.76-3.02
K  0.0000  0.8782  0.2105  5 O 2.76-3.02
K  0.5000  0.4062  0.0619  5 O 2.81-3.06
K  0.5000  0.4640  0.6171  2 O 2.92
O  0.0000  0.9453  0.8653  1 Si 1.59
O  0.7598  0.7578  0.6244  2 Si 1.66-1.67
O  0.0000  0.7308  0.3163  2 Si 1.65-1.66
O  0.7604  0.4055  0.4473  1 Si 1.60
O  0.0000  0.0547  0.1347  1 Si 1.59
O  0.7598  0.7422  0.1244  2 Si 1.66-1.67
O  0.0000  0.6136  0.8954  1 Si 1.59
O  0.5000  0.1302  0.3214  2 Si 1.64
O  0.7483  0.4307  0.9312  1 Si 1.60
O  0.5000  0.2833  0.4865  2 Si 1.65
O  0.8186  0.7564  0.9585  2 Si 1.64-1.65
O  0.0000  0.3864  0.1046  1 Si 1.59
O  0.8186  0.7436  0.4585  2 Si 1.64-1.65
O  0.1814  0.2436  0.0415  2 Si 1.64-1.65
O  0.8198  0.6062  0.2313  2 Si 1.64
O  0.0000  0.7692  0.8163  2 Si 1.65-1.66
O  0.2517  0.0693  0.4312  1 Si 1.60
O  0.7604  0.5945  0.5527  1 Si 1.60
O  0.0000  0.2308  0.1837  2 Si 1.65-1.66
O  0.7598  0.2422  0.3756  2 Si 1.66-1.67
O  0.7483  0.0693  0.4312  1 Si 1.60
O  0.1802  0.1062  0.2687  2 Si 1.64
O  0.2517  0.4307  0.9312  1 Si 1.60
O  0.8198  0.1062  0.2687  2 Si 1.64
O  0.1814  0.2564  0.5415  2 Si 1.64-1.65
O  0.0000  0.4453  0.6347  1 Si 1.59
O  0.5000  0.3698  0.8214  2 Si 1.64
O  0.2396  0.9055  0.0527  1 Si 1.60
O  0.1802  0.6062  0.2313  2 Si 1.64
O  0.8198  0.3938  0.7687  2 Si 1.64
O  0.1814  0.7436  0.4585  2 Si 1.64-1.65
O  0.0000  0.8864  0.3954  1 Si 1.59
O  0.2402  0.2578  0.8756  2 Si 1.66-1.67
O  0.2517  0.9307  0.5688  1 Si 1.60
O  0.2402  0.7578  0.6244  2 Si 1.66-1.67
O  0.7483  0.5693  0.0688  1 Si 1.60
O  0.2396  0.5945  0.5527  1 Si 1.60
O  0.8198  0.8938  0.7313  2 Si 1.64
O  0.8186  0.2436  0.0415  2 Si 1.64-1.65
O  0.5000  0.7833  0.0135  2 Si 1.65
O  0.5000  0.7167  0.5135  2 Si 1.65
O  0.8186  0.2564  0.5415  2 Si 1.64-1.65
O  0.2402  0.2422  0.3756  2 Si 1.66-1.67
O  0.5000  0.2167  0.9865  2 Si 1.65
O  0.0000  0.1136  0.6046  1 Si 1.59
O  0.2402  0.7422  0.1244  2 Si 1.66-1.67
O  0.1814  0.7564  0.9585  2 Si 1.64-1.65
O  0.0000  0.5547  0.3653  1 Si 1.59
O  0.1802  0.3938  0.7687  2 Si 1.64
O  0.7604  0.9055  0.0527  1 Si 1.60
O  0.7598  0.2578  0.8756  2 Si 1.66-1.67
O  0.1802  0.8938  0.7313  2 Si 1.64
O  0.0000  0.2692  0.6837  2 Si 1.65-1.66
O  0.2396  0.4055  0.4473  1 Si 1.60
O  0.7483  0.9307  0.5688  1 Si 1.60
O  0.2396  0.0945  0.9473  1 Si 1.60
O  0.7604  0.0945  0.9473  1 Si 1.60
O  0.2517  0.5693  0.0688  1 Si 1.60
O  0.5000  0.8698  0.6786  2 Si 1.64
O  0.5000  0.6302  0.1786  2 Si 1.64
Si  0.7140  0.1992  0.9612  4 O 1.60-1.66
Si  0.7140  0.8008  0.0388  4 O 1.60-1.66
Si  0.0000  0.6233  0.2888  4 O 1.59-1.65
Si  0.2860  0.3008  0.4612  4 O 1.60-1.66
Si  0.2860  0.1992  0.9612  4 O 1.60-1.66
Si  0.7107  0.1347  0.3537  4 O 1.60-1.67
Si  0.7140  0.6992  0.5388  4 O 1.60-1.66
Si  0.0000  0.7798  0.4092  4 O 1.59-1.66
Si  0.0000  0.7202  0.9092  4 O 1.59-1.66
Si  0.2893  0.1347  0.3537  4 O 1.60-1.67
Si  0.0000  0.2202  0.5908  4 O 1.59-1.66
Si  0.0000  0.8767  0.7888  4 O 1.59-1.65
Si  0.0000  0.2798  0.0908  4 O 1.59-1.66
Si  0.7140  0.3008  0.4612  4 O 1.60-1.66
Si  0.7107  0.8653  0.6463  4 O 1.60-1.67
Si  0.7107  0.6347  0.1463  4 O 1.60-1.67
Si  0.2860  0.6992  0.5388  4 O 1.60-1.66
Si  0.2860  0.8008  0.0388  4 O 1.60-1.66
Si  0.0000  0.3767  0.7112  4 O 1.59-1.65
Si  0.0000  0.1233  0.2112  4 O 1.59-1.65
Si  0.7107  0.3653  0.8537  4 O 1.60-1.67
Si  0.2893  0.8653  0.6463  4 O 1.60-1.67
Si  0.2893  0.6347  0.1463  4 O 1.60-1.67
Si  0.2893  0.3653  0.8537  4 O 1.60-1.67
Nd  0.0000  0.0000  0.0000  6 O 2.31-2.41
Nd  0.0000  0.0000  0.5000  6 O 2.38-2.39
Nd  0.0000  0.5000  0.5000  6 O 2.31-2.41
Nd  0.0000  0.5000  0.0000  6 O 2.38-2.39

Output
VASP energy	-0.270	Ha/atom
total moment	0.00	μB/atom
symmetry	Pbam
E above lowest polymorph	0.000	eV per atom
crystal system	orthorhombic

Record 4
Na4Zr2Nb2Si5SO24: optimized geometry, PBE.

Cell: 9.0485 9.0673 22.9237 Å, 89.79 90.25 119.90°
Closest atoms and distances in Å follow each position.
Fractional coordinates of all 114 atoms:
O  0.5149  0.8299  0.7560  1 Si 1.63
O  0.1683  0.4889  0.2613  1 Si 1.63
O  0.7953  0.9708  0.6895  1 Si 1.65
O  0.2056  0.1826  0.0863  1 S 1.48
O  0.8619  0.3675  0.9170  1 Si 1.66
O  0.1761  0.9628  0.9112  1 S 1.48
O  0.7855  0.8311  0.1958  1 Si 1.63
O  0.3654  0.8629  0.5808  1 Si 1.61
O  0.0307  0.1903  0.9132  1 Si 1.62
O  0.6430  0.1503  0.4243  1 Si 1.67
O  0.4888  0.1629  0.2407  1 Si 1.66
O  0.9589  0.1649  0.3014  1 Si 1.62
O  0.8299  0.0413  0.8028  1 Si 1.62
O  0.8468  0.0414  0.0871  1 Si 1.63
O  0.8188  0.8247  0.9123  1 Si 1.63
O  0.1687  0.6834  0.7562  1 Si 1.65
O  0.8395  0.8135  0.5895  1 Si 1.64
O  0.3262  0.8372  0.2603  1 Si 1.66
O  0.4790  0.3476  0.1362  1 S 1.47
O  0.3599  0.4866  0.0809  1 S 1.50
O  0.1729  0.1840  0.4127  1 Si 1.61
O  0.5329  0.6915  0.9731  1 Si 1.62
O  0.3509  0.5002  0.3638  1 Si 1.66
O  0.3127  0.8506  0.9682  1 S 1.49
O  0.4617  0.3181  0.0302  1 S 1.47
O  0.4840  0.1244  0.9197  1 S 1.47
O  0.6341  0.4900  0.9167  1 Si 1.63
O  0.0392  0.2223  0.1877  1 Si 1.62
O  0.1384  0.6247  0.0823  1 Si 1.64
O  0.1451  0.4940  0.5806  1 Si 1.62
O  0.1469  0.4982  0.8589  1 Si 1.68
O  0.8458  0.4991  0.1367  1 Si 1.67
O  0.6466  0.5017  0.6386  1 Si 1.64
O  0.8401  0.5181  0.7413  1 Si 1.64
O  0.0234  0.8363  0.6961  1 Si 1.67
O  0.4827  0.3153  0.7409  1 Si 1.62
O  0.8511  0.5427  0.0220  1 Si 1.65
O  0.9656  0.1574  0.5904  1 Si 1.66
O  0.1926  0.0391  0.5918  1 Si 1.64
O  0.2035  0.1698  0.8059  1 Si 1.60
O  0.1748  0.9670  0.1938  1 Si 1.62
O  0.2084  0.0331  0.3073  1 Si 1.61
O  0.1259  0.6448  0.3644  1 S 1.47
O  0.1539  0.4746  0.9759  1 Si 1.62
O  0.9823  0.8167  0.0874  1 Si 1.61
O  0.8630  0.3538  0.6432  1 Si 1.63
O  0.9729  0.7888  0.8113  1 Si 1.61
O  0.8708  0.5047  0.4210  1 S 1.49
O  0.6898  0.1699  0.7402  1 Si 1.63
O  0.5204  0.6872  0.2604  1 Si 1.67
O  0.4646  0.1676  0.5268  1 Si 1.67
O  0.6772  0.5118  0.2395  1 Si 1.63
O  0.8140  0.9770  0.4137  1 Si 1.61
O  0.3545  0.8703  0.8624  1 S 1.47
O  0.5040  0.6420  0.5794  1 Si 1.64
O  0.5314  0.8527  0.4769  1 Si 1.63
O  0.4982  0.8542  0.0826  1 Si 1.63
O  0.6513  0.1404  0.1431  1 Si 1.66
O  0.5059  0.6557  0.8587  1 Si 1.68
O  0.5019  0.1454  0.6397  1 Si 1.63
O  0.6841  0.1618  0.0284  1 Si 1.64
O  0.1668  0.1986  0.6912  1 Si 1.65
O  0.6952  0.5259  0.5253  1 Si 1.63
O  0.1416  0.6793  0.4700  1 S 1.49
O  0.8356  0.3157  0.2416  1 Si 1.68
O  0.3131  0.4597  0.4785  1 Si 1.63
O  0.5148  0.3680  0.4226  1 Si 1.66
O  0.8262  0.7866  0.3085  1 Si 1.60
O  0.8255  0.3013  0.5287  1 Si 1.64
O  0.5079  0.8638  0.3605  1 Si 1.66
O  0.0214  0.8132  0.4135  1 S 1.47
O  0.3012  0.4707  0.7556  1 Si 1.68
Si  0.3341  0.3733  0.4189  4 O 1.61-1.66
Si  0.6670  0.0421  0.0847  4 O 1.63-1.66
Si  0.3754  0.0452  0.5851  4 O 1.61-1.67
Si  0.6242  0.6650  0.9165  4 O 1.62-1.68
Si  0.9592  0.6288  0.0826  4 O 1.61-1.67
Si  0.7108  0.7030  0.2517  4 O 1.60-1.67
Si  0.0016  0.7106  0.7525  4 O 1.61-1.67
Si  0.9530  0.3334  0.5845  4 O 1.62-1.66
Si  0.0109  0.2984  0.2476  4 O 1.62-1.68
Si  0.7027  0.9975  0.7474  4 O 1.62-1.65
Si  0.6282  0.9599  0.4183  4 O 1.61-1.67
Si  0.2906  0.2814  0.7488  4 O 1.60-1.68
Si  0.2933  0.0001  0.2509  4 O 1.61-1.66
Si  0.6742  0.6221  0.5817  4 O 1.63-1.64
Si  0.0495  0.3769  0.9175  4 O 1.62-1.68
S  0.3795  0.3315  0.0835  4 O 1.47-1.50
S  0.3342  0.9528  0.9147  4 O 1.47-1.49
S  0.0403  0.6615  0.4164  4 O 1.47-1.49
Na  0.9603  0.6653  0.9126  5 O 2.36-2.56
Na  0.6677  0.9665  0.5798  5 O 2.38-2.62
Na  0.3292  0.6805  0.6642  5 O 2.44-2.64
Na  0.6585  0.3418  0.3351  6 O 2.47-2.76
Na  0.2960  0.3361  0.5811  5 O 2.38-2.60
Na  0.0248  0.3314  0.0853  3 O 2.30-2.57
Na  0.9742  0.9906  0.0020  4 O 2.43-2.60
Na  0.3266  0.6784  0.1674  6 O 2.47-2.76
Na  0.6480  0.3296  0.8323  6 O 2.47-2.71
Na  0.9984  0.9998  0.4922  3 O 2.39-2.56
Na  0.9921  0.3583  0.7493  5 O 2.41-2.68
Na  0.6454  0.0001  0.2511  7 O 2.48-2.77
Nb  0.6773  0.3334  0.1899  5 O 1.92-2.01
Nb  0.6545  0.3230  0.4794  5 O 1.93-2.00
Nb  0.6666  0.3372  0.6872  6 O 1.94-2.03
Nb  0.9958  0.9925  0.6466  6 O 1.92-2.09
Nb  0.3370  0.6535  0.8083  5 O 1.90-2.05
Nb  0.3448  0.6668  0.3126  5 O 1.93-2.02
Zr  0.0017  0.0061  0.3514  5 O 2.02-2.14
Zr  0.3339  0.6646  0.5206  6 O 2.02-2.17
Zr  0.3438  0.6726  0.0228  6 O 1.99-2.21
Zr  0.9918  0.0060  0.8521  5 O 1.99-2.12
Zr  0.9935  0.9882  0.1498  5 O 2.00-2.16
Zr  0.6805  0.3400  0.9778  4 O 1.99-2.13

Output
VASP energy	-0.280	Ha/atom
total moment	0.00	μB/atom
symmetry	P1
crystal system	triclinic

Looking at E (MP2020) for the records above, in order, we have -35.62, -863.79, -776.53, -919.11 eV/cell.